[1]
Below is a relaxed K2AlSO4F3 crystal, with properties calculated at the r²SCAN level.

**Total magnetization**: 0.000 μB/f.u.
**Formation enthalpy at 0 K**: -2.7368 eV per atom

Geometry as CIF:
```
data_K2AlSO4F3
_chemical_formula_sum 'K8 Al4 S4 O16 F12'
_space_group_name_H-M_alt 'P b c n'
_space_group_IT_number 60
_cell_length_a 10.809
_cell_length_b 8.309
_cell_length_c 6.825
_cell_angle_alpha 90.00
_cell_angle_beta 90.00
_cell_angle_gamma 90.00
loop_
_space_group_symop_operation_xyz
'x,y,z'
'-x,-y,-z'
'-x+1/2,-y+1/2,z+1/2'
'x+1/2,y+1/2,-z+1/2'
'x+1/2,-y+1/2,-z'
'-x+1/2,y+1/2,z'
'-x,y,-z+1/2'
'x,-y,z+1/2'
loop_
_atom_site_label
_atom_site_type_symbol
_atom_site_fract_x
_atom_site_fract_y
_atom_site_fract_z
K1 K 0.197 0.179 0.199
Al1 Al 0.000 0.500 0.000
S1 S 0.000 0.189 0.750
O1 O 0.054 0.297 0.594
O2 O 0.100 0.095 0.831
F1 F 0.000 0.414 0.250
F2 F 0.157 0.446 0.976
```

[2]
Below is a relaxed Li3AlF6 crystal, with properties calculated at the r²SCAN level.

**Total magnetization**: 0.000 μB/f.u.
**Energy relative to the lowest polymorph listed for this composition**: 0.002 eV per atom
**Formation enthalpy at 0 K**: -3.4856 eV per atom

Geometry as CIF:
```
data_Li3AlF6
_chemical_formula_sum 'Li12 Al4 F24'
_space_group_name_H-M_alt 'P n a 21'
_space_group_IT_number 33
_cell_length_a 9.400
_cell_length_b 8.152
_cell_length_c 4.833
_cell_angle_alpha 90.00
_cell_angle_beta 90.00
_cell_angle_gamma 90.00
loop_
_space_group_symop_operation_xyz
'x,y,z'
'-x,-y,z+1/2'
'-x+1/2,y+1/2,z+1/2'
'x+1/2,-y+1/2,z'
loop_
_atom_site_label
_atom_site_type_symbol
_atom_site_fract_x
_atom_site_fract_y
_atom_site_fract_z
Li1 Li 0.106 0.045 0.000
Li2 Li 0.126 0.647 0.486
Li3 Li 0.145 0.452 0.992
Al1 Al 0.128 0.260 0.495
F1 F 0.011 0.410 0.664
F2 F 0.023 0.256 0.183
F3 F 0.028 0.096 0.645
F4 F 0.225 0.435 0.354
F5 F 0.237 0.268 0.800
F6 F 0.246 0.118 0.319
```

[3]
Below is a relaxed Li3AlF6 crystal, with properties calculated at the r²SCAN level.

**Total magnetization**: 0.000 μB/f.u.
**Energy relative to the lowest polymorph listed for this composition**: 0.181 eV per atom
**Formation enthalpy at 0 K**: -3.3061 eV per atom

Geometry as CIF:
```
data_Li3AlF6
_chemical_formula_sum 'Li12 Al4 F24'
_space_group_name_H-M_alt 'F m -3 m'
_space_group_IT_number 225
_space_group_name_Hall '-F 4 2 3'
_cell_length_a 7.369
_cell_length_b 7.369
_cell_length_c 7.369
_cell_angle_alpha 90.00
_cell_angle_beta 90.00
_cell_angle_gamma 90.00
loop_
_atom_site_label
_atom_site_type_symbol
_atom_site_fract_x
_atom_site_fract_y
_atom_site_fract_z
Li1 Li 0.000 0.000 0.000
Li2 Li 0.250 0.250 0.250
Al1 Al 0.000 0.000 0.500
F1 F 0.000 0.000 0.258
```